Compound: ReOs
Source: the Materials Project
Functional: r2SCAN
Structure: optimized geometry

Lattice parameters (Å, degrees): 2.7573 2.7573 4.3824 90.00 90.00 120.00
Space group P-6m2 (No. 187)
Asymmetric unit:
Re1 0.0000 0.0000 0.0000 x1
Os1 0.3333 0.6667 0.5000 x1

Output
Calculated formation energy   -90 meV per atom
Energy   -52.7877 eV per atom